[1]
# Na2YZnPS2O12

Crystalline Na2YZnPS2O12 at its relaxed geometry (GGA-PBE, the Materials Project).

CIF file:
```
data_Na2YZnPS2O12
_symmetry_space_group_name_H-M 'C 1 c 1'
_symmetry_Int_Tables_number 9
_symmetry_space_group_name_Hall 'C -2yc'
_cell_length_a 15.752
_cell_length_b 9.134
_cell_length_c 23.344
_cell_angle_alpha 90.00
_cell_angle_beta 90.78
_cell_angle_gamma 90.00
loop_
_atom_site_label
_atom_site_type_symbol
_atom_site_fract_x
_atom_site_fract_y
_atom_site_fract_z
Na1 Na 0.000 0.000 0.000
Na2 Na 0.143 0.179 0.084
Na3 Na 0.163 0.486 0.667
Na4 Na 0.178 0.179 0.754
Na5 Na 0.328 0.007 0.334
Na6 Na 0.337 0.318 0.917
Y1 Y 0.156 0.498 0.324
Y2 Y 0.318 0.008 0.490
Y3 Y 0.483 0.498 0.157
Zn1 Zn 0.154 0.490 0.523
Zn2 Zn 0.326 0.030 0.689
Zn3 Zn 0.493 0.496 0.356
P1 P 0.150 0.205 0.927
P2 P 0.174 0.158 0.594
P3 P 0.344 0.345 0.763
S1 S 0.009 0.345 0.426
S2 S 0.140 0.142 0.258
S3 S 0.307 0.359 0.427
S4 S 0.319 0.292 0.091
S5 S 0.475 0.142 0.593
S6 S 0.484 0.203 0.259
O1 O 0.000 0.204 0.708
O2 O 0.048 0.404 0.374
O3 O 0.059 0.378 0.478
O4 O 0.062 0.420 0.089
O5 O 0.064 0.389 0.763
O6 O 0.073 0.103 0.919
O7 O 0.086 0.076 0.597
O8 O 0.091 0.115 0.204
O9 O 0.096 0.076 0.307
O10 O 0.143 0.299 0.982
O11 O 0.148 0.304 0.263
O12 O 0.165 0.303 0.873
O13 O 0.165 0.325 0.585
O14 O 0.218 0.081 0.544
O15 O 0.224 0.129 0.651
O16 O 0.225 0.073 0.254
O17 O 0.236 0.113 0.930
O18 O 0.239 0.381 0.087
O19 O 0.250 0.409 0.764
O20 O 0.256 0.383 0.374
O21 O 0.264 0.419 0.477
O22 O 0.312 0.193 0.141
O23 O 0.320 0.198 0.430
O24 O 0.330 0.208 0.037
O25 O 0.332 0.174 0.758
O26 O 0.386 0.409 0.710
O27 O 0.391 0.434 0.422
O28 O 0.393 0.381 0.819
O29 O 0.394 0.391 0.095
O30 O 0.409 0.109 0.252
O31 O 0.421 0.089 0.929
O32 O 0.425 0.113 0.541
O33 O 0.434 0.083 0.645
O34 O 0.476 0.294 0.311
O35 O 0.485 0.306 0.596
O36 O 0.497 0.317 0.922
```

## Properties
The total energy comes out at -6.41 eV/atom. The volume is 14.7 Å³ per atom.

---

[2]
# Na7Y2Zn2P5SO24

Crystalline Na7Y2Zn2P5SO24 at its relaxed geometry (GGA-PBE, the Materials Project).

CIF file:
```
data_Na7Y2Zn2P5SO24
_symmetry_space_group_name_H-M 'P 1'
_symmetry_Int_Tables_number 1
_symmetry_space_group_name_Hall 'P 1'
_cell_length_a 9.209
_cell_length_b 9.229
_cell_length_c 23.077
_cell_angle_alpha 89.98
_cell_angle_beta 89.75
_cell_angle_gamma 60.15
loop_
_atom_site_label
_atom_site_type_symbol
_atom_site_fract_x
_atom_site_fract_y
_atom_site_fract_z
Na1 Na 0.000 0.000 0.000
Na2 Na 0.000 0.369 0.500
Na3 Na 0.026 0.307 0.164
Na4 Na 0.029 0.673 0.419
Na5 Na 0.044 0.661 0.920
Na6 Na 0.064 0.340 0.833
Na7 Na 0.066 0.966 0.333
Na8 Na 0.348 0.336 0.331
Na9 Na 0.368 0.371 0.998
Na10 Na 0.368 0.998 0.748
Na11 Na 0.369 0.631 0.496
Na12 Na 0.384 0.987 0.248
Na13 Na 0.406 0.659 0.167
Na14 Na 0.408 0.298 0.668
Na15 Na 0.674 0.037 0.167
Na16 Na 0.680 0.661 0.666
Na17 Na 0.695 0.973 0.830
Na18 Na 0.702 0.335 0.081
Na19 Na 0.717 0.320 0.582
Na20 Na 0.738 0.001 0.499
Na21 Na 0.740 0.630 0.998
Y1 Y 0.028 0.672 0.265
Y2 Y 0.038 0.665 0.765
Y3 Y 0.363 0.005 0.597
Y4 Y 0.369 0.001 0.096
Y5 Y 0.374 0.993 0.899
Y6 Y 0.381 0.989 0.399
Zn1 Zn 0.019 0.673 0.567
Zn2 Zn 0.035 0.667 0.069
Zn3 Zn 0.687 0.351 0.929
Zn4 Zn 0.688 0.339 0.233
Zn5 Zn 0.691 0.335 0.430
Zn6 Zn 0.707 0.329 0.734
P1 P 0.029 0.373 0.664
P2 P 0.030 0.968 0.164
P3 P 0.062 0.306 0.997
P4 P 0.063 0.001 0.496
P5 P 0.333 0.373 0.164
P6 P 0.367 0.307 0.498
P7 P 0.367 0.695 0.999
P8 P 0.414 0.623 0.331
P9 P 0.415 0.334 0.831
P10 P 0.675 0.693 0.500
P11 P 0.676 0.001 0.997
P12 P 0.701 0.621 0.830
P13 P 0.702 0.050 0.331
P14 P 0.741 0.661 0.162
P15 P 0.741 0.969 0.664
S1 S 0.334 0.663 0.663
S2 S 0.988 0.048 0.832
S3 S 0.991 0.333 0.332
O1 O 0.004 0.884 0.110
O2 O 0.006 0.482 0.610
O3 O 0.006 0.878 0.826
O4 O 0.020 0.479 0.328
O5 O 0.050 0.479 0.003
O6 O 0.051 0.840 0.504
O7 O 0.062 0.452 0.719
O8 O 0.063 0.858 0.219
O9 O 0.145 0.193 0.051
O10 O 0.151 0.032 0.548
O11 O 0.159 0.031 0.836
O12 O 0.164 0.179 0.335
O13 O 0.175 0.970 0.441
O14 O 0.177 0.220 0.943
O15 O 0.191 0.985 0.160
O16 O 0.193 0.200 0.660
O17 O 0.207 0.680 0.004
O18 O 0.208 0.481 0.505
O19 O 0.225 0.449 0.219
O20 O 0.230 0.689 0.715
O21 O 0.233 0.487 0.828
O22 O 0.235 0.638 0.328
O23 O 0.249 0.482 0.110
O24 O 0.253 0.642 0.610
O25 O 0.336 0.224 0.444
O26 O 0.336 0.814 0.947
O27 O 0.352 0.195 0.160
O28 O 0.359 0.812 0.660
O29 O 0.380 0.806 0.334
O30 O 0.393 0.174 0.834
O31 O 0.398 0.193 0.551
O32 O 0.399 0.774 0.053
O33 O 0.492 0.519 0.386
O34 O 0.495 0.351 0.887
O35 O 0.501 0.510 0.668
O36 O 0.510 0.354 0.169
O37 O 0.514 0.544 0.275
O38 O 0.521 0.306 0.776
O39 O 0.527 0.522 0.992
O40 O 0.528 0.320 0.492
O41 O 0.539 0.037 0.335
O42 O 0.549 0.803 0.834
O43 O 0.562 0.032 0.051
O44 O 0.562 0.773 0.554
O45 O 0.563 0.821 0.159
O46 O 0.564 0.980 0.660
O47 O 0.589 0.813 0.448
O48 O 0.592 0.970 0.944
O49 O 0.678 0.152 0.275
O50 O 0.683 0.540 0.774
O51 O 0.690 0.519 0.491
O52 O 0.691 0.160 0.991
O53 O 0.711 0.149 0.670
O54 O 0.724 0.503 0.170
O55 O 0.729 0.128 0.386
O56 O 0.731 0.515 0.885
O57 O 0.820 0.860 0.719
O58 O 0.821 0.695 0.216
O59 O 0.846 0.884 0.609
O60 O 0.848 0.635 0.108
O61 O 0.849 0.680 0.504
O62 O 0.849 0.840 0.003
O63 O 0.861 0.643 0.827
O64 O 0.861 0.873 0.328
O65 O 0.867 0.363 0.671
O66 O 0.873 0.144 0.170
O67 O 0.888 0.319 0.991
O68 O 0.889 0.161 0.491
O69 O 0.890 0.121 0.886
O70 O 0.894 0.354 0.385
O71 O 0.911 0.150 0.780
O72 O 0.915 0.311 0.278
```

## Properties
The total energy comes out at -6.53 eV/atom. The volume is 13.8 Å³ per atom.

---

[3]
# Na3Y2Zr2P5SO24

Crystalline Na3Y2Zr2P5SO24 at its relaxed geometry (GGA-PBE, the Materials Project).

CIF file:
```
data_Na3Y2Zr2P5SO24
_symmetry_space_group_name_H-M 'P 1'
_symmetry_Int_Tables_number 1
_symmetry_space_group_name_Hall 'P 1'
_cell_length_a 9.091
_cell_length_b 9.106
_cell_length_c 23.324
_cell_angle_alpha 89.98
_cell_angle_beta 89.87
_cell_angle_gamma 60.25
loop_
_atom_site_label
_atom_site_type_symbol
_atom_site_fract_x
_atom_site_fract_y
_atom_site_fract_z
Na1 Na 0.000 0.000 0.000
Na2 Na 0.005 0.976 0.499
Na3 Na 0.311 0.645 0.585
Na4 Na 0.330 0.332 0.165
Na5 Na 0.341 0.685 0.916
Na6 Na 0.353 0.289 0.667
Na7 Na 0.681 0.657 0.831
Na8 Na 0.686 0.655 0.332
Na9 Na 0.713 0.311 0.415
Y1 Y 0.007 0.963 0.350
Y2 Y 0.007 0.969 0.149
Y3 Y 0.676 0.650 0.478
Y4 Y 0.681 0.634 0.978
Y5 Y 0.992 0.978 0.650
Y6 Y 0.998 0.974 0.850
Zr1 Zr 0.332 0.302 0.519
Zr2 Zr 0.332 0.316 0.313
Zr3 Zr 0.333 0.310 0.019
Zr4 Zr 0.345 0.304 0.814
Zr5 Zr 0.667 0.647 0.681
Zr6 Zr 0.679 0.621 0.182
P1 P 0.000 0.668 0.248
P2 P 0.047 0.302 0.415
P3 P 0.053 0.594 0.914
P4 P 0.312 0.668 0.749
P5 P 0.335 0.598 0.419
P6 P 0.336 0.018 0.916
P7 P 0.376 0.937 0.582
P8 P 0.378 0.636 0.078
P9 P 0.624 0.023 0.414
P10 P 0.629 0.304 0.917
P11 P 0.667 0.348 0.578
P12 P 0.696 0.971 0.749
P13 P 0.702 0.274 0.252
P14 P 0.974 0.340 0.081
P15 P 0.974 0.634 0.583
S1 S 0.002 0.283 0.749
S2 S 0.316 0.970 0.248
S3 S 0.663 0.939 0.083
O1 O 0.011 0.782 0.587
O2 O 0.026 0.181 0.697
O3 O 0.027 0.144 0.416
O4 O 0.035 0.747 0.195
O5 O 0.053 0.764 0.914
O6 O 0.146 0.305 0.361
O7 O 0.147 0.301 0.469
O8 O 0.151 0.490 0.861
O9 O 0.152 0.329 0.080
O10 O 0.152 0.469 0.581
O11 O 0.153 0.305 0.754
O12 O 0.154 0.486 0.255
O13 O 0.155 0.497 0.969
O14 O 0.177 0.996 0.916
O15 O 0.179 0.775 0.417
O16 O 0.200 0.788 0.086
O17 O 0.201 0.952 0.590
O18 O 0.205 0.752 0.695
O19 O 0.211 0.996 0.197
O20 O 0.233 0.775 0.804
O21 O 0.238 0.944 0.300
O22 O 0.326 0.507 0.474
O23 O 0.331 0.119 0.971
O24 O 0.333 0.488 0.755
O25 O 0.337 0.121 0.255
O26 O 0.337 0.491 0.366
O27 O 0.338 0.117 0.863
O28 O 0.362 0.113 0.578
O29 O 0.369 0.468 0.078
O30 O 0.452 0.654 0.021
O31 O 0.457 0.828 0.529
O32 O 0.487 0.818 0.241
O33 O 0.489 0.847 0.636
O34 O 0.494 0.642 0.741
O35 O 0.494 0.840 0.916
O36 O 0.497 0.343 0.578
O37 O 0.497 0.622 0.129
O38 O 0.504 0.599 0.416
O39 O 0.505 0.108 0.082
O40 O 0.513 0.122 0.756
O41 O 0.519 0.302 0.256
O42 O 0.521 0.122 0.361
O43 O 0.526 0.125 0.468
O44 O 0.526 0.308 0.863
O45 O 0.532 0.296 0.971
O46 O 0.630 0.473 0.915
O47 O 0.645 0.846 0.413
O48 O 0.647 0.472 0.628
O49 O 0.653 0.847 0.134
O50 O 0.677 0.456 0.241
O51 O 0.678 0.845 0.030
O52 O 0.682 0.808 0.742
O53 O 0.685 0.421 0.520
O54 O 0.772 0.005 0.696
O55 O 0.794 0.159 0.201
O56 O 0.796 0.021 0.415
O57 O 0.800 0.207 0.309
O58 O 0.803 0.947 0.803
O59 O 0.806 0.149 0.916
O60 O 0.811 0.965 0.087
O61 O 0.818 0.171 0.586
O62 O 0.839 0.652 0.239
O63 O 0.850 0.454 0.742
O64 O 0.869 0.461 0.414
O65 O 0.874 0.428 0.028
O66 O 0.874 0.655 0.528
O67 O 0.875 0.618 0.914
O68 O 0.877 0.623 0.636
O69 O 0.878 0.452 0.135
O70 O 0.974 0.774 0.302
O71 O 0.979 0.203 0.800
O72 O 0.995 0.164 0.087
```

## Properties
The total energy comes out at -7.58 eV/atom. The volume is 15.1 Å³ per atom.